Entry 1:
A relaxed MgTe4Mo3WSe2S2 crystal, computed with PBE.

The structure in CIF format:
```
data_MgTe4Mo3WSe2S2
_chemical_formula_sum 'Mg2 Te8 Mo6 W2 Se4 S4'
_symmetry_space_group_name_H-M 'C 1 m 1'
_symmetry_Int_Tables_number 8
_cell_length_a 5.9234
_cell_length_b 3.4205
_cell_length_c 42.3458
_cell_angle_alpha 90.00
_cell_angle_beta 91.01
_cell_angle_gamma 90.00
loop_
_symmetry_equiv_pos_as_xyz
'x,y,z'
'x,-y,z'
'x+1/2,y+1/2,z'
'x+1/2,-y+1/2,z'
loop_
_atom_site_label
_atom_site_fract_x
_atom_site_fract_y
_atom_site_fract_z
Mg1 0.0000 0.0000 0.0000
Te1 0.3208 0.0000 0.2475
Te2 0.3319 0.0000 0.3355
Te3 0.4865 0.5000 0.6835
Te4 0.4976 0.5000 0.7721
Mo1 0.0007 0.0000 0.9108
Mo2 0.3246 0.0000 0.1074
Mo3 0.4929 0.5000 0.2915
W1 0.3255 0.0000 0.7278
Se1 0.4862 0.5000 0.0685
Se2 0.4960 0.5000 0.1461
S1 0.3292 0.0000 0.8759
S2 0.3392 0.0000 0.9463
```

Calculated values
* DFT total energy: -159.32 eV per cell
* polymorph energy (0 for the lowest one): 24 meV/atom
* M_tot: 0.006 μB per atom
* E (MP2020): -6.2049 eV/atom
* formation energy from the elements: -5.73 eV/f.u.

***

Entry 2:
A relaxed MgTe2Mo3WSe4S2 crystal, computed with PBE.

The structure in CIF format:
```
data_MgTe2Mo3WSe4S2
_chemical_formula_sum 'Mg1 Te2 Mo3 W1 Se4 S2'
_symmetry_space_group_name_H-M 'P 1'
_symmetry_Int_Tables_number 1
_cell_length_a 3.3439
_cell_length_b 3.3444
_cell_length_c 43.4310
_cell_angle_alpha 89.90
_cell_angle_beta 89.84
_cell_angle_gamma 60.01
loop_
_symmetry_equiv_pos_as_xyz
'x,y,z'
loop_
_atom_site_label
_atom_site_fract_x
_atom_site_fract_y
_atom_site_fract_z
Mg1 0.0000 0.0000 0.0000
Te1 0.3291 0.3335 0.7670
Te2 0.3319 0.3340 0.6796
Mo1 0.3292 0.3339 0.9059
Mo2 0.6638 0.6672 0.7233
Mo3 0.6643 0.6675 0.1051
W1 0.3309 0.3338 0.2874
Se1 0.3298 0.3339 0.1433
Se2 0.3323 0.3342 0.0662
Se3 0.6629 0.6670 0.3259
Se4 0.6654 0.6674 0.2488
S1 0.6614 0.6672 0.9415
S2 0.6636 0.6675 0.8713
```

Calculated values
* DFT total energy: -81.88 eV per cell
* polymorph energy (0 for the lowest one): 12 meV/atom
* M_tot: 0.000 μB per atom
* E (MP2020): -6.3755 eV/atom
* formation energy from the elements: -7.24 eV/f.u.

***

Entry 3:
A relaxed MgTe4Mo2W2Se2S2 crystal, computed with PBE.

The structure in CIF format:
```
data_MgTe4Mo2W2Se2S2
_chemical_formula_sum 'Mg1 Te4 Mo2 W2 Se2 S2'
_symmetry_space_group_name_H-M 'P 3 m 1'
_symmetry_Int_Tables_number 156
_cell_length_a 3.3976
_cell_length_b 3.3976
_cell_length_c 45.5958
_cell_angle_alpha 90.00
_cell_angle_beta 90.00
_cell_angle_gamma 120.00
loop_
_symmetry_equiv_pos_as_xyz
'x,y,z'
'-y,x-y,z'
'-x+y,-x,z'
'-y,-x,z'
'-x+y,y,z'
'x,x-y,z'
loop_
_atom_site_label
_atom_site_fract_x
_atom_site_fract_y
_atom_site_fract_z
Mg1 0.0000 0.0000 0.0000
Te1 0.3333 0.6667 0.0721
Te2 0.3333 0.6667 0.1549
Te3 0.3333 0.6667 0.6901
Te4 0.3333 0.6667 0.7723
Mo1 0.3333 0.6667 0.9121
Mo2 0.6667 0.3333 0.7312
W1 0.3333 0.6667 0.5433
W2 0.6667 0.3333 0.1137
Se1 0.6667 0.3333 0.5070
Se2 0.6667 0.3333 0.5796
S1 0.6667 0.3333 0.8796
S2 0.6667 0.3333 0.9456
```

Calculated values
* DFT total energy: -81.27 eV per cell
* polymorph energy (0 for the lowest one): 29 meV/atom
* M_tot: 0.004 μB per atom
* E (MP2020): -6.3290 eV/atom
* formation energy from the elements: -5.23 eV/f.u.

***

Entry 4:
A relaxed MgTe4Mo2W2Se2S2 crystal, computed with PBE.

The structure in CIF format:
```
data_MgTe4Mo2W2Se2S2
_chemical_formula_sum 'Mg2 Te8 Mo4 W4 Se4 S4'
_symmetry_space_group_name_H-M 'C 1 m 1'
_symmetry_Int_Tables_number 8
_cell_length_a 5.8828
_cell_length_b 3.3971
_cell_length_c 44.3624
_cell_angle_alpha 90.00
_cell_angle_beta 90.25
_cell_angle_gamma 90.00
loop_
_symmetry_equiv_pos_as_xyz
'x,y,z'
'x,-y,z'
'x+1/2,y+1/2,z'
'x+1/2,-y+1/2,z'
loop_
_atom_site_label
_atom_site_fract_x
_atom_site_fract_y
_atom_site_fract_z
Mg1 0.0000 0.0000 0.0000
Te1 0.0004 0.0000 0.7636
Te2 0.3313 0.0000 0.2425
Te3 0.3339 0.0000 0.3275
Te4 0.4977 0.5000 0.6790
Mo1 0.3325 0.0000 0.7213
Mo2 0.3325 0.0000 0.1015
W1 0.0007 0.0000 0.9014
W2 0.4992 0.5000 0.2850
Se1 0.0004 0.0000 0.1385
Se2 0.4980 0.5000 0.0641
S1 0.3331 0.0000 0.8677
S2 0.3351 0.0000 0.9353
```

Calculated values
* DFT total energy: -162.97 eV per cell
* polymorph energy (0 for the lowest one): 13 meV/atom
* M_tot: 0.000 μB per atom
* E (MP2020): -6.3455 eV/atom
* formation energy from the elements: -5.45 eV/f.u.

***

Entry 5:
A relaxed MgTe4Mo3WSe2S2 crystal, computed with PBE.

The structure in CIF format:
```
data_MgTe4Mo3WSe2S2
_chemical_formula_sum 'Mg2 Te8 Mo6 W2 Se4 S4'
_symmetry_space_group_name_H-M 'C 1 m 1'
_symmetry_Int_Tables_number 8
_cell_length_a 5.8847
_cell_length_b 3.3978
_cell_length_c 38.6703
_cell_angle_alpha 90.00
_cell_angle_beta 90.00
_cell_angle_gamma 90.00
loop_
_symmetry_equiv_pos_as_xyz
'x,y,z'
'x,-y,z'
'x+1/2,y+1/2,z'
'x+1/2,-y+1/2,z'
loop_
_atom_site_label
_atom_site_fract_x
_atom_site_fract_y
_atom_site_fract_z
Mg1 0.0000 0.0000 0.0000
Te1 0.4956 0.5000 0.1750
Te2 0.4956 0.5000 0.2724
Te3 0.4956 0.5000 0.5510
Te4 0.4956 0.5000 0.6478
Mo1 0.1622 0.5000 0.5994
Mo2 0.4956 0.5000 0.4116
Mo3 0.4956 0.5000 0.7873
W1 0.1622 0.5000 0.2237
Se1 0.1623 0.5000 0.7447
Se2 0.1623 0.5000 0.8299
S1 0.1623 0.5000 0.3727
S2 0.1623 0.5000 0.4504
```

Calculated values
* DFT total energy: -158.40 eV per cell
* polymorph energy (0 for the lowest one): 59 meV/atom
* M_tot: 0.001 μB per atom
* E (MP2020): -6.1698 eV/atom
* formation energy from the elements: -5.27 eV/f.u.

***

Entry 6:
A relaxed MgTe4Mo3WSe2S2 crystal, computed with PBE.

The structure in CIF format:
```
data_MgTe4Mo3WSe2S2
_chemical_formula_sum 'Mg2 Te8 Mo6 W2 Se4 S4'
_symmetry_space_group_name_H-M 'C 1 m 1'
_symmetry_Int_Tables_number 8
_cell_length_a 5.8749
_cell_length_b 3.3919
_cell_length_c 38.7158
_cell_angle_alpha 90.00
_cell_angle_beta 90.00
_cell_angle_gamma 90.00
loop_
_symmetry_equiv_pos_as_xyz
'x,y,z'
'x,-y,z'
'x+1/2,y+1/2,z'
'x+1/2,-y+1/2,z'
loop_
_atom_site_label
_atom_site_fract_x
_atom_site_fract_y
_atom_site_fract_z
Mg1 0.0000 0.0000 0.0000
Te1 0.0057 0.0000 0.3534
Te2 0.0057 0.0000 0.4508
Te3 0.0057 0.0000 0.7293
Te4 0.0057 0.0000 0.8262
Mo1 0.0057 0.0000 0.2141
Mo2 0.0057 0.0000 0.5899
Mo3 0.1724 0.5000 0.7778
W1 0.1724 0.5000 0.4021
Se1 0.1724 0.5000 0.1716
Se2 0.1724 0.5000 0.2568
S1 0.1724 0.5000 0.5511
S2 0.1724 0.5000 0.6287
```

Calculated values
* DFT total energy: -158.40 eV per cell
* polymorph energy (0 for the lowest one): 59 meV/atom
* M_tot: 0.001 μB per atom
* E (MP2020): -6.1698 eV/atom
* formation energy from the elements: -5.27 eV/f.u.

***

Entry 7:
A relaxed MgTe4Mo3WSe2S2 crystal, computed with PBE.

The structure in CIF format:
```
data_MgTe4Mo3WSe2S2
_chemical_formula_sum 'Mg1 Te4 Mo3 W1 Se2 S2'
_symmetry_space_group_name_H-M 'P 1'
_symmetry_Int_Tables_number 1
_cell_length_a 3.3956
_cell_length_b 3.3959
_cell_length_c 44.5397
_cell_angle_alpha 90.68
_cell_angle_beta 90.03
_cell_angle_gamma 120.00
loop_
_symmetry_equiv_pos_as_xyz
'x,y,z'
loop_
_atom_site_label
_atom_site_fract_x
_atom_site_fract_y
_atom_site_fract_z
Mg1 0.0000 0.0000 0.0000
Te1 0.0053 0.0094 0.2368
Te2 0.0145 0.0267 0.3209
Te3 0.6716 0.3413 0.6733
Te4 0.6808 0.3587 0.7574
Mo1 0.0095 0.0167 0.7154
Mo2 0.6766 0.3514 0.2789
Mo3 0.6768 0.3516 0.8986
W1 0.0033 0.0051 0.0989
Se1 0.0061 0.0106 0.8617
Se2 0.0144 0.0263 0.9358
S1 0.6660 0.3310 0.0651
S2 0.6738 0.3458 0.1325
```

Calculated values
* DFT total energy: -79.97 eV per cell
* polymorph energy (0 for the lowest one): 0 meV/atom
* M_tot: 0.000 μB per atom
* E (MP2020): -6.2291 eV/atom
* formation energy from the elements: -6.04 eV/f.u.

***

Entry 8:
A relaxed MgTe4Mo2W2Se2S2 crystal, computed with PBE.

The structure in CIF format:
```
data_MgTe4Mo2W2Se2S2
_chemical_formula_sum 'Mg1 Te4 Mo2 W2 Se2 S2'
_symmetry_space_group_name_H-M 'P 1'
_symmetry_Int_Tables_number 1
_cell_length_a 3.3850
_cell_length_b 3.3851
_cell_length_c 38.8949
_cell_angle_alpha 90.00
_cell_angle_beta 90.00
_cell_angle_gamma 60.00
loop_
_symmetry_equiv_pos_as_xyz
'x,y,z'
loop_
_atom_site_label
_atom_site_fract_x
_atom_site_fract_y
_atom_site_fract_z
Mg1 0.0000 0.0000 0.0000
Te1 0.6608 0.6378 0.1707
Te2 0.6608 0.6378 0.2673
Te3 0.9942 0.9711 0.7342
Te4 0.9942 0.9711 0.8309
Mo1 0.6609 0.6377 0.7826
Mo2 0.9941 0.9711 0.2189
W1 0.6609 0.6377 0.4068
W2 0.9941 0.9711 0.5947
Se1 0.6608 0.6378 0.5520
Se2 0.6608 0.6378 0.6373
S1 0.9942 0.9711 0.3680
S2 0.9942 0.9711 0.4456
```

Calculated values
* DFT total energy: -81.37 eV per cell
* polymorph energy (0 for the lowest one): 21 meV/atom
* M_tot: 0.001 μB per atom
* E (MP2020): -6.3370 eV/atom
* formation energy from the elements: -5.33 eV/f.u.

***

Entry 9:
A relaxed MgTe4Mo2W2Se2S2 crystal, computed with PBE.

The structure in CIF format:
```
data_MgTe4Mo2W2Se2S2
_chemical_formula_sum 'Mg2 Te8 Mo4 W4 Se4 S4'
_symmetry_space_group_name_H-M 'C 1 m 1'
_symmetry_Int_Tables_number 8
_cell_length_a 5.8814
_cell_length_b 3.3964
_cell_length_c 46.3839
_cell_angle_alpha 90.00
_cell_angle_beta 90.00
_cell_angle_gamma 90.00
loop_
_symmetry_equiv_pos_as_xyz
'x,y,z'
'x,-y,z'
'x+1/2,y+1/2,z'
'x+1/2,-y+1/2,z'
loop_
_atom_site_label
_atom_site_fract_x
_atom_site_fract_y
_atom_site_fract_z
Mg1 0.0000 0.0000 0.0000
Te1 0.1674 0.5000 0.4195
Te2 0.1676 0.5000 0.5006
Te3 0.3339 0.0000 0.8487
Te4 0.3342 0.0000 0.9298
Mo1 0.1674 0.5000 0.8891
Mo2 0.3343 0.0000 0.0922
W1 0.1675 0.5000 0.2716
W2 0.3342 0.0000 0.4600
Se1 0.3341 0.0000 0.2360
Se2 0.3343 0.0000 0.3073
S1 0.1674 0.5000 0.1244
S2 0.1679 0.5000 0.0596
```

Calculated values
* DFT total energy: -162.56 eV per cell
* polymorph energy (0 for the lowest one): 28 meV/atom
* M_tot: 0.003 μB per atom
* E (MP2020): -6.3298 eV/atom
* formation energy from the elements: -5.24 eV/f.u.

***

Entry 10:
A relaxed MgTe2Mo3WSe4S2 crystal, computed with PBE.

The structure in CIF format:
```
data_MgTe2Mo3WSe4S2
_chemical_formula_sum 'Mg1 Te2 Mo3 W1 Se4 S2'
_symmetry_space_group_name_H-M 'P 3 m 1'
_symmetry_Int_Tables_number 156
_cell_length_a 3.3357
_cell_length_b 3.3357
_cell_length_c 46.6765
_cell_angle_alpha 90.00
_cell_angle_beta 90.00
_cell_angle_gamma 120.00
loop_
_symmetry_equiv_pos_as_xyz
'x,y,z'
'-y,x-y,z'
'-x+y,-x,z'
'-y,-x,z'
'-x+y,y,z'
'x,x-y,z'
loop_
_atom_site_label
_atom_site_fract_x
_atom_site_fract_y
_atom_site_fract_z
Mg1 0.0000 0.0000 0.0000
Te1 0.3333 0.6667 0.0627
Te2 0.3333 0.6667 0.1445
Mo1 0.3333 0.6667 0.5336
Mo2 0.6667 0.3333 0.1039
Mo3 0.6667 0.3333 0.7216
W1 0.3333 0.6667 0.8996
Se1 0.3333 0.6667 0.6859
Se2 0.3333 0.6667 0.7574
Se3 0.6667 0.3333 0.4978
Se4 0.6667 0.3333 0.5694
S1 0.6667 0.3333 0.8671
S2 0.6667 0.3333 0.9324
```

Calculated values
* DFT total energy: -82.01 eV per cell
* polymorph energy (0 for the lowest one): 1 meV/atom
* M_tot: 0.000 μB per atom
* E (MP2020): -6.3862 eV/atom
* formation energy from the elements: -7.38 eV/f.u.

***

Entry 11:
A relaxed MgTe4Mo3WSe2S2 crystal, computed with PBE.

The structure in CIF format:
```
data_MgTe4Mo3WSe2S2
_chemical_formula_sum 'Mg2 Te8 Mo6 W2 Se4 S4'
_symmetry_space_group_name_H-M 'C 1 m 1'
_symmetry_Int_Tables_number 8
_cell_length_a 5.9299
_cell_length_b 3.4216
_cell_length_c 40.0542
_cell_angle_alpha 90.00
_cell_angle_beta 90.03
_cell_angle_gamma 90.00
loop_
_symmetry_equiv_pos_as_xyz
'x,y,z'
'x,-y,z'
'x+1/2,y+1/2,z'
'x+1/2,-y+1/2,z'
loop_
_atom_site_label
_atom_site_fract_x
_atom_site_fract_y
_atom_site_fract_z
Mg1 0.0000 0.0000 0.0000
Te1 0.1649 0.5000 0.2292
Te2 0.1651 0.5000 0.3222
Te3 0.3318 0.0000 0.6651
Te4 0.3320 0.0000 0.7586
Mo1 0.1653 0.5000 0.0898
Mo2 0.3317 0.0000 0.2757
Mo3 0.3318 0.0000 0.8979
W1 0.1652 0.5000 0.7118
Se1 0.1650 0.5000 0.8573
Se2 0.1651 0.5000 0.9402
S1 0.3303 0.0000 0.0506
S2 0.3322 0.0000 0.1264
```

Calculated values
* DFT total energy: -158.95 eV per cell
* polymorph energy (0 for the lowest one): 38 meV/atom
* M_tot: 0.003 μB per atom
* E (MP2020): -6.1908 eV/atom
* formation energy from the elements: -5.55 eV/f.u.

***

Entry 12:
A relaxed MgTe4Mo3WSe2S2 crystal, computed with PBE.

The structure in CIF format:
```
data_MgTe4Mo3WSe2S2
_chemical_formula_sum 'Mg1 Te4 Mo3 W1 Se2 S2'
_symmetry_space_group_name_H-M 'P 1'
_symmetry_Int_Tables_number 1
_cell_length_a 3.3856
_cell_length_b 3.3862
_cell_length_c 38.5977
_cell_angle_alpha 90.00
_cell_angle_beta 89.99
_cell_angle_gamma 60.01
loop_
_symmetry_equiv_pos_as_xyz
'x,y,z'
loop_
_atom_site_label
_atom_site_fract_x
_atom_site_fract_y
_atom_site_fract_z
Mg1 0.0000 0.0000 0.0000
Te1 0.9920 0.0252 0.1759
Te2 0.9919 0.0252 0.2732
Te3 0.9920 0.0253 0.5516
Te4 0.9919 0.0253 0.6489
Mo1 0.3253 0.3586 0.2245
Mo2 0.3253 0.3587 0.6003
Mo3 0.9920 0.0252 0.7883
W1 0.9921 0.0252 0.4124
Se1 0.3254 0.3585 0.7454
Se2 0.3253 0.3585 0.8311
S1 0.3254 0.3587 0.3734
S2 0.3253 0.3587 0.4515
```

Calculated values
* DFT total energy: -79.61 eV per cell
* polymorph energy (0 for the lowest one): 28 meV/atom
* M_tot: 0.000 μB per atom
* E (MP2020): -6.2015 eV/atom
* formation energy from the elements: -5.69 eV/f.u.